Computed, not measured: a relaxed NaI crystal at the PBE level of DFT.

Computed properties:
* formation energy from the elements: -1.34 eV/atom
* total moment: 0.000 μB/atom
* SG: Pmma, No. 51
* energy with MP2020 corrections: -11.06 eV/cell

Cell lengths 4.270, 4.622, 7.798 Å; angles 90.00, 90.00, 90.05 degrees
Positions (direct):
Na  0.500  0.750  0.275
I  0.000  0.250  0.258
I  0.000  0.750  0.742
Na  0.500  0.250  0.725